Record 1
CeF3, relaxed, DFT PBE-GGA; magnetization = 1.00 μB per formula unit; total energy = -6.8786 eV per atom; crystal system = trigonal
1.0
7.181 0.000 0.000
-3.591 6.219 0.000
0.000 0.000 7.326
Ce F
6 18
direct
0.000 0.342 0.250
0.000 0.658 0.750
0.342 0.000 0.250
0.342 0.342 0.750
0.658 0.000 0.750
0.658 0.658 0.250
0.000 0.000 0.250
0.000 0.000 0.750
0.059 0.369 0.921
0.059 0.690 0.421
0.310 0.369 0.421
0.310 0.941 0.921
0.333 0.667 0.187
0.333 0.667 0.687
0.369 0.059 0.579
0.369 0.310 0.079
0.631 0.690 0.921
0.631 0.941 0.421
0.667 0.333 0.313
0.667 0.333 0.813
0.690 0.059 0.079
0.690 0.631 0.579
0.941 0.310 0.579
0.941 0.631 0.079

---

Record 2
CeF3, relaxed, DFT PBE-GGA; magnetization = 0.73 μB per formula unit; total energy = -6.7470 eV per atom; crystal system = hexagonal
1.0
7.178 0.000 0.000
-3.589 6.216 0.000
0.000 0.000 7.111
Ce F
6 18
direct
0.000 0.326 0.000
0.000 0.674 0.500
0.326 0.000 0.000
0.326 0.326 0.500
0.674 0.000 0.500
0.674 0.674 0.000
0.000 0.000 0.250
0.000 0.000 0.750
0.005 0.346 0.333
0.005 0.659 0.167
0.333 0.667 0.512
0.333 0.667 0.988
0.341 0.346 0.167
0.341 0.995 0.333
0.346 0.005 0.667
0.346 0.341 0.833
0.654 0.659 0.333
0.654 0.995 0.167
0.659 0.005 0.833
0.659 0.654 0.667
0.667 0.333 0.012
0.667 0.333 0.488
0.995 0.341 0.667
0.995 0.654 0.833

---

Record 3
CeF4, relaxed, DFT PBE-GGA; total energy = -6.4065 eV per atom; crystal system = monoclinic
1.0
6.405 -5.389 0.000
6.405 5.389 0.000
-4.941 0.000 6.772
Ce F
6 24
direct
0.212 0.788 0.750
0.224 0.369 0.171
0.369 0.224 0.671
0.631 0.776 0.329
0.776 0.631 0.829
0.788 0.212 0.250
0.000 0.500 0.000
0.029 0.723 0.848
0.066 0.173 0.455
0.173 0.066 0.955
0.185 0.596 0.427
0.260 0.318 0.895
0.261 0.503 0.718
0.277 0.971 0.652
0.318 0.260 0.395
0.396 0.604 0.250
0.404 0.815 0.073
0.497 0.739 0.782
0.500 0.000 0.500
0.503 0.261 0.218
0.596 0.185 0.927
0.604 0.396 0.750
0.682 0.740 0.605
0.723 0.029 0.348
0.739 0.497 0.282
0.740 0.682 0.105
0.815 0.404 0.573
0.827 0.934 0.045
0.934 0.827 0.545
0.971 0.277 0.152

---

Record 4
CeF3, relaxed, DFT PBE-GGA; magnetization = 1.00 μB per formula unit; total energy = -6.8514 eV per atom; crystal system = hexagonal
1.0
4.156 0.000 0.000
-2.078 3.599 0.000
0.000 0.000 7.319
Ce F
2 6
direct
0.333 0.667 0.250
0.667 0.333 0.750
0.000 0.000 0.250
0.000 0.000 0.750
0.333 0.667 0.578
0.333 0.667 0.922
0.667 0.333 0.078
0.667 0.333 0.422

---

Record 5
CeH12N5F4, relaxed, DFT PBE-GGA; magnetization = 3.00 μB per formula unit; energy above the most stable polymorph in this dataset = 0.000 eV per atom; crystal system = tetragonal
1.0
9.505 0.000 0.000
0.000 9.505 0.000
0.000 0.000 11.269
Ce H N F
4 48 20 16
direct
0.250 0.750 0.250
0.250 0.750 0.750
0.750 0.250 0.250
0.750 0.250 0.750
0.001 0.545 0.142
0.001 0.955 0.642
0.037 0.676 0.050
0.037 0.824 0.550
0.045 0.501 0.358
0.045 0.999 0.858
0.056 0.207 0.329
0.056 0.293 0.829
0.176 0.537 0.450
0.176 0.963 0.950
0.207 0.056 0.829
0.207 0.444 0.329
0.293 0.056 0.329
0.293 0.444 0.829
0.324 0.537 0.950
0.324 0.963 0.450
0.444 0.207 0.829
0.444 0.293 0.329
0.455 0.501 0.858
0.455 0.999 0.358
0.463 0.676 0.550
0.463 0.824 0.050
0.499 0.545 0.642
0.499 0.955 0.142
0.501 0.045 0.858
0.501 0.455 0.358
0.537 0.176 0.950
0.537 0.324 0.450
0.545 0.001 0.642
0.545 0.499 0.142
0.556 0.707 0.671
0.556 0.793 0.171
0.676 0.037 0.550
0.676 0.463 0.050
0.707 0.556 0.171
0.707 0.944 0.671
0.793 0.556 0.671
0.793 0.944 0.171
0.824 0.037 0.050
0.824 0.463 0.550
0.944 0.707 0.171
0.944 0.793 0.671
0.955 0.001 0.142
0.955 0.499 0.642
0.963 0.176 0.450
0.963 0.324 0.950
0.999 0.045 0.358
0.999 0.455 0.858
0.026 0.650 0.138
0.026 0.850 0.638
0.150 0.526 0.362
0.150 0.974 0.862
0.250 0.250 0.174
0.250 0.250 0.674
0.350 0.526 0.862
0.350 0.974 0.362
0.474 0.650 0.638
0.474 0.850 0.138
0.526 0.150 0.862
0.526 0.350 0.362
0.650 0.026 0.638
0.650 0.474 0.138
0.750 0.750 0.326
0.750 0.750 0.826
0.850 0.026 0.138
0.850 0.474 0.638
0.974 0.150 0.362
0.974 0.350 0.862
0.087 0.670 0.869
0.087 0.830 0.369
0.170 0.587 0.631
0.170 0.913 0.131
0.330 0.587 0.131
0.330 0.913 0.631
0.413 0.670 0.369
0.413 0.830 0.869
0.587 0.170 0.131
0.587 0.330 0.631
0.670 0.087 0.369
0.670 0.413 0.869
0.830 0.087 0.869
0.830 0.413 0.369
0.913 0.170 0.631
0.913 0.330 0.131

---

Record 6
CeH12N5F4, relaxed, DFT PBE-GGA; magnetization = 1.00 μB per formula unit; energy above the most stable polymorph in this dataset = 0.176 eV per atom; crystal system = tetragonal
1.0
9.672 0.000 0.000
0.000 9.672 0.000
0.000 0.000 10.597
Ce H N F
4 48 20 16
direct
0.250 0.750 0.250
0.250 0.750 0.750
0.750 0.250 0.250
0.750 0.250 0.750
0.000 0.006 0.143
0.000 0.494 0.643
0.000 0.506 0.357
0.000 0.994 0.857
0.006 0.000 0.643
0.006 0.500 0.143
0.007 0.668 0.166
0.007 0.832 0.666
0.144 0.237 0.195
0.144 0.263 0.695
0.168 0.507 0.334
0.168 0.993 0.834
0.237 0.144 0.695
0.237 0.356 0.195
0.263 0.144 0.195
0.263 0.356 0.695
0.332 0.507 0.834
0.332 0.993 0.334
0.356 0.237 0.695
0.356 0.263 0.195
0.493 0.668 0.666
0.493 0.832 0.166
0.494 0.000 0.143
0.494 0.500 0.643
0.500 0.006 0.643
0.500 0.494 0.143
0.500 0.506 0.857
0.500 0.994 0.357
0.506 0.000 0.857
0.506 0.500 0.357
0.507 0.168 0.834
0.507 0.332 0.334
0.644 0.737 0.805
0.644 0.763 0.305
0.668 0.007 0.666
0.668 0.493 0.166
0.737 0.644 0.305
0.737 0.856 0.805
0.763 0.644 0.805
0.763 0.856 0.305
0.832 0.007 0.166
0.832 0.493 0.666
0.856 0.737 0.305
0.856 0.763 0.805
0.993 0.168 0.334
0.993 0.332 0.834
0.994 0.000 0.357
0.994 0.500 0.857
0.063 0.579 0.183
0.063 0.921 0.683
0.079 0.563 0.317
0.079 0.937 0.817
0.250 0.250 0.229
0.250 0.250 0.729
0.421 0.563 0.817
0.421 0.937 0.317
0.437 0.579 0.683
0.437 0.921 0.183
0.563 0.079 0.817
0.563 0.421 0.317
0.579 0.063 0.683
0.579 0.437 0.183
0.750 0.750 0.271
0.750 0.750 0.771
0.921 0.063 0.183
0.921 0.437 0.683
0.937 0.079 0.317
0.937 0.421 0.817
0.119 0.622 0.621
0.119 0.878 0.121
0.122 0.619 0.879
0.122 0.881 0.379
0.378 0.619 0.379
0.378 0.881 0.879
0.381 0.622 0.121
0.381 0.878 0.621
0.619 0.122 0.379
0.619 0.378 0.879
0.622 0.119 0.121
0.622 0.381 0.621
0.878 0.119 0.621
0.878 0.381 0.121
0.881 0.122 0.879
0.881 0.378 0.379

---

Record 7
CeHfF7, relaxed, DFT PBE-GGA; total energy = -7.1594 eV per atom; crystal system = monoclinic
1.0
6.316 0.000 0.000
0.000 5.844 0.000
-1.722 0.000 8.334
Ce Hf F
2 2 14
direct
0.158 0.000 0.187
0.842 0.500 0.813
0.313 0.992 0.725
0.687 0.492 0.275
0.055 0.323 0.027
0.057 0.198 0.713
0.129 0.709 0.718
0.259 0.997 0.484
0.358 0.990 0.965
0.431 0.285 0.266
0.477 0.754 0.263
0.523 0.254 0.737
0.569 0.785 0.734
0.642 0.490 0.035
0.741 0.497 0.516
0.871 0.209 0.282
0.943 0.698 0.287
0.945 0.823 0.973

---

Record 8
K2CeF6, relaxed, DFT PBE-GGA; total energy = -5.5380 eV per atom; crystal system = hexagonal
1.0
6.632 0.000 0.000
-3.316 5.744 0.000
0.000 0.000 3.764
K Ce F
2 1 6
direct
0.333 0.667 0.000
0.667 0.333 0.000
0.000 0.000 0.500
0.000 0.228 0.000
0.000 0.663 0.500
0.228 0.000 0.000
0.337 0.337 0.500
0.663 0.000 0.500
0.772 0.772 0.000